[1]
CsLiTaP2O8: optimized geometry, GGA-PBE.

```
data_CsLiTaP2O8
_chemical_formula_sum 'Cs1 Li1 Ta1 P2 O8'
_symmetry_space_group_name_H-M 'P 1'
_symmetry_Int_Tables_number 1
_symmetry_space_group_name_Hall 'P 1'
_cell_length_a 5.359
_cell_length_b 5.129
_cell_length_c 8.251
_cell_angle_alpha 88.14
_cell_angle_beta 83.87
_cell_angle_gamma 63.03
loop_
_atom_site_label
_atom_site_type_symbol
_atom_site_fract_x
_atom_site_fract_y
_atom_site_fract_z
_atom_site_occupancy
P1 P 0.366 0.348 0.794 1
O1 O 0.199 0.214 0.899 1
Cs1 Cs 0.040 0.982 0.529 1
Ta1 Ta 0.974 0.005 0.997 1
Li1 Li 0.520 0.192 0.381 1
O2 O 0.712 0.332 0.188 1
O3 O 0.669 0.222 0.848 1
O4 O 0.606 0.787 0.356 1
O5 O 0.219 0.685 0.828 1
O6 O 0.384 0.296 0.610 1
O7 O 0.765 0.763 0.055 1
O8 O 0.277 0.810 0.153 1
P2 P 0.593 0.676 0.189 1
```

Results
* symmetry: P1 (1)
* ΔH_f (0 K): -35.53 eV per formula unit
* spin magnetization: 0.08 μB per atom
* energy relative to the lowest polymorph listed for this composition: 0.000 eV per atom

---

[2]
LiBiP2O7: optimized geometry, GGA-PBE.

```
data_LiBiP2O7
_chemical_formula_sum 'Li4 Bi4 P8 O28'
_symmetry_space_group_name_H-M 'P 1'
_symmetry_Int_Tables_number 1
_symmetry_space_group_name_Hall 'P 1'
_cell_length_a 9.118
_cell_length_b 7.230
_cell_length_c 9.904
_cell_angle_alpha 74.75
_cell_angle_beta 90.00
_cell_angle_gamma 90.00
loop_
_atom_site_label
_atom_site_type_symbol
_atom_site_fract_x
_atom_site_fract_y
_atom_site_fract_z
_atom_site_occupancy
Li1 Li 0.897 0.290 0.406 1
Bi1 Bi 0.722 0.726 0.493 1
P1 P 0.534 0.945 0.723 1
P2 P 0.419 0.564 0.707 1
Li2 Li 0.103 0.710 0.594 1
O1 O 0.779 0.460 0.874 1
Bi2 Bi 0.222 0.274 0.007 1
P3 P 0.081 0.564 0.207 1
O2 O 0.329 0.089 0.358 1
Bi3 Bi 0.278 0.274 0.507 1
O3 O 0.067 0.077 0.621 1
O4 O 0.590 0.215 0.286 1
O5 O 0.221 0.540 0.126 1
O6 O 0.721 0.460 0.374 1
O7 O 0.939 0.531 0.136 1
O8 O 0.041 0.136 0.157 1
O9 O 0.921 0.563 0.641 1
O10 O 0.090 0.785 0.214 1
O11 O 0.541 0.864 0.343 1
P4 P 0.466 0.055 0.277 1
O12 O 0.171 0.089 0.858 1
P5 P 0.034 0.055 0.777 1
P6 P 0.919 0.436 0.793 1
O13 O 0.459 0.136 0.657 1
P7 P 0.581 0.436 0.293 1
O14 O 0.671 0.911 0.642 1
O15 O 0.433 0.077 0.121 1
Li3 Li 0.603 0.290 0.906 1
O16 O 0.439 0.469 0.364 1
O17 O 0.959 0.864 0.843 1
O18 O 0.079 0.437 0.359 1
P8 P 0.966 0.945 0.223 1
Bi4 Bi 0.778 0.726 0.993 1
Li4 Li 0.397 0.710 0.094 1
O19 O 0.061 0.469 0.864 1
O20 O 0.421 0.437 0.859 1
O21 O 0.579 0.563 0.141 1
O22 O 0.933 0.923 0.379 1
O23 O 0.561 0.531 0.636 1
O24 O 0.829 0.911 0.142 1
O25 O 0.279 0.540 0.626 1
O26 O 0.410 0.785 0.714 1
O27 O 0.567 0.923 0.879 1
O28 O 0.910 0.215 0.786 1
```

Results
* symmetry: P2_1/c (14)
* ΔH_f (0 K): -27.43 eV per formula unit
* spin magnetization: 0.00 μB per atom
* energy relative to the lowest polymorph listed for this composition: 0.042 eV per atom

---

[3]
VIr: optimized geometry, GGA-PBE.

```
data_VIr
_chemical_formula_sum 'V16 Ir16'
_symmetry_space_group_name_H-M 'P 1'
_symmetry_Int_Tables_number 1
_symmetry_space_group_name_Hall 'P 1'
_cell_length_a 8.660
_cell_length_b 8.660
_cell_length_c 6.642
_cell_angle_alpha 71.38
_cell_angle_beta 71.38
_cell_angle_gamma 80.02
loop_
_atom_site_label
_atom_site_type_symbol
_atom_site_fract_x
_atom_site_fract_y
_atom_site_fract_z
_atom_site_occupancy
Ir1 Ir 0.431 0.928 0.896 1
V1 V 0.995 0.736 0.719 1
V2 V 0.518 0.758 0.263 1
V3 V 0.373 0.123 0.508 1
Ir2 Ir 0.314 0.314 0.120 1
V4 V 0.866 0.134 0.000 1
Ir3 Ir 0.686 0.686 0.880 1
V5 V 0.242 0.482 0.737 1
Ir4 Ir 0.442 0.442 0.369 1
V6 V 0.385 0.615 0.000 1
Ir5 Ir 0.695 0.200 0.359 1
Ir6 Ir 0.558 0.558 0.631 1
Ir7 Ir 0.800 0.305 0.641 1
V7 V 0.758 0.518 0.263 1
Ir8 Ir 0.072 0.569 0.104 1
Ir9 Ir 0.928 0.431 0.896 1
V8 V 0.482 0.242 0.737 1
Ir10 Ir 0.305 0.800 0.641 1
V9 V 0.615 0.385 0.000 1
V10 V 0.736 0.995 0.719 1
V11 V 0.264 0.005 0.281 1
Ir11 Ir 0.200 0.695 0.359 1
V12 V 0.123 0.373 0.508 1
V13 V 0.877 0.627 0.492 1
Ir12 Ir 0.048 0.048 0.651 1
Ir13 Ir 0.952 0.952 0.349 1
V14 V 0.134 0.866 0.000 1
V15 V 0.005 0.264 0.281 1
V16 V 0.627 0.877 0.492 1
Ir14 Ir 0.827 0.827 0.091 1
Ir15 Ir 0.173 0.173 0.909 1
Ir16 Ir 0.569 0.072 0.104 1
```

Results
* symmetry: C2/m (12)
* ΔH_f (0 K): -1.04 eV per formula unit
* spin magnetization: 0.01 μB per atom

---

[4]
Nb2N: optimized geometry, GGA-PBE.

```
data_Nb2N
_chemical_formula_sum 'Nb6 N3'
_symmetry_space_group_name_H-M 'P 1'
_symmetry_Int_Tables_number 1
_symmetry_space_group_name_Hall 'P 1'
_cell_length_a 5.350
_cell_length_b 5.350
_cell_length_c 5.005
_cell_angle_alpha 90.00
_cell_angle_beta 90.00
_cell_angle_gamma 120.00
loop_
_atom_site_label
_atom_site_type_symbol
_atom_site_fract_x
_atom_site_fract_y
_atom_site_fract_z
_atom_site_occupancy
Nb1 Nb 0.667 0.667 0.751 1
Nb2 Nb 0.333 0.000 0.751 1
N1 N 0.000 0.000 0.000 1
Nb3 Nb 0.667 0.000 0.249 1
Nb4 Nb 0.000 0.667 0.249 1
Nb5 Nb 0.333 0.333 0.249 1
Nb6 Nb 0.000 0.333 0.751 1
N2 N 0.333 0.667 0.500 1
N3 N 0.667 0.333 0.500 1
```

Results
* symmetry: P-31m (162)
* ΔH_f (0 K): -2.99 eV per formula unit

---

[5]
Na3Hf2SiSn2P5O24: optimized geometry, GGA-PBE.

```
data_Na3Hf2SiSn2P5O24
_chemical_formula_sum 'Na9 Hf6 Si3 Sn6 P15 O72'
_symmetry_space_group_name_H-M 'P 1'
_symmetry_Int_Tables_number 1
_symmetry_space_group_name_Hall 'P 1'
_cell_length_a 8.884
_cell_length_b 8.856
_cell_length_c 22.930
_cell_angle_alpha 90.11
_cell_angle_beta 89.89
_cell_angle_gamma 119.93
loop_
_atom_site_label
_atom_site_type_symbol
_atom_site_fract_x
_atom_site_fract_y
_atom_site_fract_z
_atom_site_occupancy
O1 O 0.158 0.457 0.971 1
O2 O 0.831 0.021 0.090 1
O3 O 0.784 0.819 0.194 1
O4 O 0.167 0.474 0.256 1
O5 O 0.470 0.160 0.526 1
O6 O 0.035 0.211 0.195 1
O7 O 0.822 0.793 0.305 1
O8 O 0.028 0.197 0.911 1
O9 O 0.823 0.809 0.589 1
O10 O 0.472 0.161 0.244 1
Sn1 Sn 0.006 0.003 0.149 1
O11 O 0.525 0.693 0.256 1
O12 O 0.970 0.818 0.089 1
O13 O 0.507 0.828 0.755 1
P1 P 0.043 0.669 0.415 1
O14 O 0.369 0.504 0.077 1
O15 O 0.844 0.306 0.528 1
O16 O 0.298 0.455 0.471 1
O17 O 0.508 0.633 0.864 1
Na1 Na 0.667 0.333 0.333 1
O18 O 0.550 0.848 0.473 1
O19 O 0.790 0.970 0.690 1
O20 O 0.498 0.140 0.923 1
O21 O 0.510 0.853 0.077 1
P2 P 0.627 0.956 0.416 1
O22 O 0.190 0.172 0.089 1
O23 O 0.809 0.973 0.410 1
P3 P 0.622 0.665 0.918 1
O24 O 0.156 0.703 0.471 1
O25 O 0.490 0.362 0.137 1
O26 O 0.495 0.358 0.422 1
P4 P 0.664 0.623 0.582 1
O27 O 0.144 0.497 0.577 1
O28 O 0.179 0.017 0.588 1
O29 O 0.639 0.501 0.923 1
O30 O 0.692 0.152 0.029 1
Sn2 Sn 0.333 0.667 0.314 1
Na2 Na 0.013 0.001 0.499 1
P5 P 0.961 0.337 0.582 1
O31 O 0.366 0.850 0.577 1
O32 O 0.977 0.796 0.806 1
O33 O 0.502 0.645 0.576 1
Si1 Si 0.370 0.038 0.582 1
Na3 Na 0.670 0.696 0.083 1
O34 O 0.178 0.964 0.196 1
O35 O 0.827 0.025 0.806 1
O36 O 0.876 0.365 0.637 1
O37 O 0.686 0.527 0.244 1
O38 O 0.545 0.697 0.975 1
Na4 Na 0.329 0.656 0.666 1
O39 O 0.970 0.168 0.589 1
O40 O 0.155 0.647 0.079 1
Hf1 Hf 0.002 0.999 0.648 1
O41 O 0.836 0.539 0.028 1
O42 O 0.863 0.358 0.923 1
Na5 Na 0.664 0.970 0.585 1
P6 P 0.291 0.999 0.251 1
O43 O 0.026 0.835 0.410 1
P7 P 0.045 0.378 0.917 1
O44 O 0.363 0.488 0.361 1
Na6 Na 0.320 0.666 0.167 1
Hf2 Hf 0.670 0.336 0.981 1
O45 O 0.036 0.826 0.698 1
O46 O 0.868 0.507 0.141 1
O47 O 0.167 0.693 0.757 1
O48 O 0.308 0.832 0.256 1
Sn3 Sn 0.327 0.667 0.019 1
P8 P 0.002 0.291 0.251 1
P9 P 0.668 0.042 0.084 1
O49 O 0.639 0.513 0.637 1
Hf3 Hf 0.672 0.335 0.187 1
O50 O 0.492 0.123 0.641 1
O51 O 0.970 0.178 0.306 1
O52 O 0.694 0.540 0.528 1
O53 O 0.166 0.192 0.410 1
P10 P 0.334 0.959 0.916 1
Na7 Na 0.366 0.000 0.750 1
Hf4 Hf 0.662 0.332 0.479 1
Na8 Na 0.010 0.006 0.000 1
O54 O 0.637 0.124 0.138 1
O55 O 0.471 0.310 0.743 1
P11 P 0.331 0.376 0.415 1
O56 O 0.837 0.528 0.744 1
O57 O 0.364 0.881 0.859 1
Sn4 Sn 0.329 0.665 0.517 1
P12 P 0.374 0.331 0.083 1
P13 P 0.707 0.710 0.250 1
Sn5 Sn 0.335 0.665 0.815 1
Si2 Si 0.705 0.998 0.750 1
Si3 Si 0.964 0.628 0.084 1
O58 O 0.511 0.874 0.362 1
O59 O 0.838 0.308 0.245 1
O60 O 0.804 0.828 0.912 1
P14 P 0.289 0.293 0.751 1
O61 O 0.679 0.169 0.746 1
O62 O 0.171 0.977 0.910 1
O63 O 0.124 0.636 0.360 1
Na9 Na 0.676 0.339 0.834 1
Hf5 Hf 0.669 0.332 0.686 1
O64 O 0.208 0.175 0.805 1
O65 O 0.123 0.490 0.861 1
P15 P 0.000 0.707 0.752 1
O66 O 0.647 0.139 0.422 1
O67 O 0.862 0.507 0.422 1
O68 O 0.210 0.031 0.306 1
O69 O 0.458 0.303 0.028 1
O70 O 0.304 0.473 0.756 1
O71 O 0.302 0.844 0.970 1
Sn6 Sn 0.001 0.000 0.353 1
O72 O 0.178 0.206 0.696 1
Hf6 Hf 0.994 0.000 0.854 1
```

Results
* symmetry: P1 (1)
* ΔH_f (0 K): -106.76 eV per formula unit
* spin magnetization: 0.00 μB per atom

---

[6]
CoCuNiS4: optimized geometry, GGA-PBE.

```
data_CoCuNiS4
_chemical_formula_sum 'Co2 Cu2 Ni2 S8'
_symmetry_space_group_name_H-M 'P 1'
_symmetry_Int_Tables_number 1
_symmetry_space_group_name_Hall 'P 1'
_cell_length_a 6.718
_cell_length_b 6.718
_cell_length_c 6.718
_cell_angle_alpha 120.27
_cell_angle_beta 119.63
_cell_angle_gamma 90.09
loop_
_atom_site_label
_atom_site_type_symbol
_atom_site_fract_x
_atom_site_fract_y
_atom_site_fract_z
_atom_site_occupancy
Co1 Co 0.500 0.500 0.500 1
S1 S 0.712 0.240 0.472 1
Cu1 Cu 0.123 0.373 0.750 1
Cu2 Cu 0.877 0.627 0.250 1
S2 S 0.736 0.759 0.524 1
S3 S 0.264 0.241 0.476 1
S4 S 0.288 0.760 0.528 1
S5 S 0.264 0.788 0.024 1
Co2 Co 0.500 0.000 0.000 1
Ni1 Ni 0.000 0.000 0.000 1
Ni2 Ni 0.500 0.000 0.500 1
S6 S 0.736 0.212 0.976 1
S7 S 0.267 0.240 0.028 1
S8 S 0.733 0.760 0.972 1
```

Results
* symmetry: Imma (74)
* ΔH_f (0 K): -4.63 eV per formula unit
* spin magnetization: 0.00 μB per atom

---

What is the formula in the sixth record?
CoCuNiS4

---

Look up the ΔH_f (0 K) of the sixth one.
-4.63 eV per formula unit